# Gd3Cd

A relaxed structure of Gd3Cd (PBE, Materials Project).

* DFT formation energy: -12.3 kJ/mol of atoms
* volume: 29.45 Å³ per atom

Cell: 7.0013 7.0013 5.5501 Å, 90.00 90.00 120.00°
Space group P6_3/mmc (No. 194)
Asymmetric unit:
Gd 0.1724 0.3448 0.2500 x6
Cd 0.3333 0.6667 0.7500 x2